Mn2Nb2ZnO9 | PBE+U | optimized geometry

Results
Total magnetic moment = 16.0 μB per cell
DFT total energy = -216.1 eV per cell
SG = P3c1, No. 158
Formation enthalpy at 0 K = -2.376 eV per atom

Cell: 5.255 5.255 14.087 Å, 90.00 90.00 120.00°
Element x y z (fractional)
Mn 0.000 0.000 0.000
Mn 0.000 0.000 0.500
Mn 0.333 0.667 0.499
Mn 0.333 0.667 0.999
Nb 0.667 0.333 0.143
Nb 0.667 0.333 0.355
Nb 0.667 0.333 0.643
Nb 0.667 0.333 0.855
Zn 0.000 0.000 0.263
Zn 0.000 0.000 0.763
O 0.315 0.018 0.421
O 0.315 0.296 0.921
O 0.320 0.021 0.076
O 0.320 0.300 0.576
O 0.386 0.065 0.750
O 0.386 0.321 0.250
O 0.679 0.065 0.250
O 0.679 0.614 0.750
O 0.700 0.021 0.576
O 0.700 0.680 0.076
O 0.704 0.018 0.921
O 0.704 0.685 0.421
O 0.935 0.321 0.750
O 0.935 0.614 0.250
O 0.979 0.300 0.076
O 0.979 0.680 0.576
O 0.982 0.296 0.421
O 0.982 0.685 0.921